Record 1
Crystalline Li4MnCo2O7 at its relaxed geometry. Source: the Materials Project database, functional GGA+U.

a b c (Å): 2.9225 5.1494 16.8730
angles (deg): 92.31 94.68 90.42
Last column: nearest neighbours and their distance in Å.
Space group P-1 (No. 2)
Unique sites:
Li 0.0000 0.0000 0.0000 x1  6 O 2.10-2.15
Li 0.0795 0.3514 0.1372 x2  3 O 1.99-2.01
Li 0.2129 0.0732 0.4319 x2  6 O 2.04-2.26
Li 0.3587 0.7824 0.7145 x2  6 O 2.10-2.18
Li 0.5000 0.5000 0.0000 x1  6 O 2.16-2.23
Mn 0.1348 0.7159 0.2863 x2  6 O 1.93-1.97
Co 0.3088 0.4344 0.5664 x2  6 O 1.99-2.17
Co 0.4290 0.1264 0.8658 x2  3 O 1.78-1.97
O 0.0482 0.6852 0.0796 x2  2 Co 1.95-1.97, 3 Li 2.01-2.16
O 0.1036 0.0021 0.2157 x2  1 Mn 1.93, 2 Co 2.08-2.11, 2 Li 2.15-2.16
O 0.1581 0.4244 0.3561 x2  1 Mn 1.94, 2 Co 2.06-2.08, 1 Li 2.10
O 0.2404 0.7451 0.4997 x2  3 Co 1.99-2.07, 3 Li 2.04-2.09
O 0.3325 0.1253 0.6503 x2  2 Mn 1.97, 1 Li 2.11, 1 Co 2.17
O 0.3963 0.4369 0.7763 x2  2 Mn 1.95, 1 Li 2.10
O 0.4535 0.8395 0.9215 x2  1 Co 1.78, 1 Li 1.99

Output
The value obtained for the uncorrected energy is -5.756 eV/atom. The value obtained for the formation energy is -1.76 eV per atom.

Record 2
Crystalline Li6Mn3CoO10 at its relaxed geometry. Source: the Materials Project database, functional GGA+U.

a b c (Å): 5.0458 5.1562 7.6653
angles (deg): 103.97 107.38 100.55
Last column: nearest neighbours and their distance in Å.
Space group P1 (No. 1)
Unique sites:
Li 0.0000 0.0000 0.0000 x1  6 O 2.05-2.17
Li 0.0013 0.4979 0.5002 x1  5 O 2.03-2.19
Li 0.1982 0.5028 0.9047 x1  4 O 2.02-2.16
Li 0.3847 0.4942 0.2887 x1  5 O 2.05-2.20
Li 0.6087 0.5117 0.7118 x1  6 O 2.07-2.21
Li 0.8039 0.4925 0.0943 x1  6 O 2.07-2.18
Mn 0.1968 0.0033 0.3950 x1  5 O 1.92-2.11
Mn 0.6013 0.0020 0.1931 x1  6 O 1.89-2.02
Mn 0.8041 0.0018 0.6056 x1  6 O 1.90-2.02
Co 0.4118 0.9941 0.8073 x1  5 O 1.92-2.03
O 0.0049 0.7860 0.7357 x1  1 Mn 1.90, 1 Co 1.98, 2 Li 2.03-2.07
O 0.1778 0.2269 0.6364 x1  2 Mn 1.94-1.97, 2 Li 2.11-2.16
O 0.2238 0.7724 0.1678 x1  2 Mn 1.92-1.98, 2 Li 2.05-2.11
O 0.4191 0.2166 0.0498 x1  1 Mn 1.91, 1 Co 1.92, 3 Li 2.07-2.11
O 0.4300 0.7731 0.5690 x1  1 Mn 1.93, 1 Co 1.94, 1 Li 2.10
O 0.5896 0.7595 0.9614 x1  1 Mn 1.89, 3 Li 2.02-2.10, 1 Co 2.03
O 0.6021 0.2199 0.4484 x1  3 Mn 2.01-2.02, 2 Li 2.11-2.19
O 0.7823 0.2329 0.8317 x1  1 Mn 1.90, 1 Co 1.97, 3 Li 2.07-2.12
O 0.7936 0.7814 0.3509 x1  3 Mn 1.99-2.03, 2 Li 2.15-2.18
O 0.9731 0.2384 0.2463 x1  2 Mn 1.91-2.11, 4 Li 2.03-2.13

Output
The value obtained for the uncorrected energy is -6.146 eV/atom. The value obtained for the formation energy is -2.05 eV per atom.

Record 3
Crystalline Li4MnCo2O7 at its relaxed geometry. Source: the Materials Project database, functional GGA+U.

a b c (Å): 19.4697 2.8874 9.7526
angles (deg): 90.00 113.79 90.00
Last column: nearest neighbours and their distance in Å.
Space group Cm (No. 8)
Unique sites:
Li 0.0000 0.0000 0.0000 x2  6 O 2.06-2.18
Li 0.0033 0.5000 0.4914 x2  4 O 2.02-2.15
Li 0.0711 0.0000 0.7834 x2  6 O 2.05-2.28
Li 0.1298 0.5000 0.0600 x2  5 O 2.04-2.26
Li 0.2036 0.0000 0.3455 x2  5 O 1.97-2.16
Li 0.2784 0.5000 0.6412 x2  6 O 2.08-2.22
Li 0.3614 0.0000 0.9430 x2  5 O 2.04-2.25
Li 0.4305 0.5000 0.2026 x2  4 O 1.96-2.13
Mn 0.3536 0.5000 0.4275 x2  6 O 1.91-1.99
Mn 0.4299 0.0000 0.7211 x2  5 O 1.80-1.99
Co 0.0599 0.5000 0.2595 x2  3 O 1.81-1.99
Co 0.1372 0.0000 0.5597 x2  6 O 1.97-2.15
Co 0.2120 0.5000 0.8509 x2  6 O 1.95-2.13
Co 0.2832 0.0000 0.1340 x2  6 O 2.00-2.19
O 0.0237 0.5000 0.8660 x2  1 Mn 1.80
O 0.0363 0.0000 0.3858 x2  3 Co 2.01-2.07, 3 Li 2.02-2.11
O 0.1034 0.0000 0.1784 x2  4 Li 1.97-2.06, 2 Co 1.99
O 0.1063 0.5000 0.6634 x2  3 Co 1.99-2.13, 3 Li 2.03-2.14
O 0.1725 0.5000 0.4665 x2  2 Co 1.97, 3 Li 2.08-2.10
O 0.1817 0.0000 0.9509 x2  3 Co 1.96-2.06, 1 Li 2.11
O 0.2424 0.0000 0.7535 x2  3 Co 1.95-2.15, 2 Li 2.10
O 0.2589 0.5000 0.2595 x2  1 Mn 1.91, 2 Co 2.07
O 0.3185 0.5000 0.0364 x2  3 Co 2.00-2.13, 3 Li 2.06-2.13
O 0.3258 0.0000 0.5301 x2  3 Mn 1.95-2.13
O 0.3869 0.0000 0.3374 x2  2 Mn 1.93, 1 Li 2.15
O 0.3939 0.5000 0.8021 x2  2 Mn 1.91
O 0.4514 0.5000 0.6039 x2  3 Mn 1.99
O 0.4659 0.0000 0.1120 x2  1 Co 1.81, 2 Li 1.96

Output
The value obtained for the uncorrected energy is -5.815 eV/atom. The value obtained for the formation energy is -1.82 eV per atom.

Record 4
Crystalline Li5Mn2CoO8 at its relaxed geometry. Source: the Materials Project database, functional GGA+U.

a b c (Å): 5.0324 5.7373 5.8313
angles (deg): 60.66 73.97 73.51
Last column: nearest neighbours and their distance in Å.
Space group P-1 (No. 2)
Unique sites:
Li 0.0000 0.0000 0.0000 x1  6 O 2.04-2.09
Li 0.4974 0.2499 0.2477 x2  6 O 2.03-2.23
Li 0.4980 0.2360 0.7664 x2  6 O 2.05-2.22
Mn 0.0000 0.0000 0.5000 x1  6 O 1.94-1.95
Mn 0.0000 0.5000 0.5000 x1  6 O 1.94
Co 0.0000 0.5000 0.0000 x1  4 O 1.91-1.93
O 0.2166 0.6086 0.1424 x2  1 Co 1.91, 1 Mn 1.94, 2 Li 2.05
O 0.2189 0.1396 0.1412 x2  1 Co 1.93, 1 Mn 1.95, 4 Li 2.03-2.15
O 0.2248 0.1379 0.6117 x2  2 Mn 1.94, 4 Li 2.09-2.16
O 0.2360 0.6451 0.5932 x2  2 Mn 1.94, 1 Li 2.05

Output
The value obtained for the uncorrected energy is -6.033 eV/atom. The value obtained for the formation energy is -2.03 eV per atom.

Record 5
Crystalline Li7Mn2Co3O12 at its relaxed geometry. Source: the Materials Project database, functional GGA+U.

a b c (Å): 5.0537 5.9095 7.8090
angles (deg): 78.00 77.82 72.27
Last column: nearest neighbours and their distance in Å.
Space group P-1 (No. 2)
Unique sites:
Li 0.0000 0.0000 0.0000 x1  6 O 2.11-2.14
Li 0.9996 0.1668 0.3235 x2  6 O 2.07-2.20
Li 0.0000 0.5000 0.0000 x1  6 O 2.14-2.17
Li 0.4878 0.6723 0.8414 x2  5 O 2.03-2.24
Li 0.5000 0.0000 0.5000 x1  6 O 2.06-2.24
Mn 0.0000 0.3317 0.6704 x2  6 O 1.88-1.99
Co 0.4884 0.8443 0.1613 x2  4 O 1.85-2.07
Co 0.5000 0.5000 0.5000 x1  6 O 1.92-2.05
O 0.2306 0.3489 0.4296 x2  2 Mn 1.99, 1 Co 2.05, 2 Li 2.13-2.18
O 0.2382 0.0266 0.7408 x2  1 Mn 1.88, 2 Li 2.06-2.08, 1 Co 2.10
O 0.2426 0.6619 0.1071 x2  1 Mn 1.90, 1 Co 2.03, 2 Li 2.04-2.11
O 0.2483 0.4790 0.7409 x2  1 Mn 1.95, 2 Co 2.04-2.07, 2 Li 2.11-2.15
O 0.2511 0.8012 0.4134 x2  2 Co 1.92-2.09, 1 Mn 1.96
O 0.2752 0.1515 0.0857 x2  2 Co 1.85-2.04, 2 Li 2.03-2.07

Output
The value obtained for the uncorrected energy is -5.893 eV/atom. The value obtained for the formation energy is -1.90 eV per atom.

Record 6
Crystalline Li7Mn4CoO12 at its relaxed geometry. Source: the Materials Project database, functional GGA+U.

a b c (Å): 5.0267 6.4938 6.7624
angles (deg): 83.88 80.87 82.81
Last column: nearest neighbours and their distance in Å.
Space group P1 (No. 1)
Unique sites:
Li 0.0000 0.0000 0.0000 x1  6 O 2.09-2.31
Li 0.0011 0.3332 0.6651 x1  6 O 2.07-2.24
Li 0.0117 0.6748 0.3505 x1  5 O 2.04-2.21
Li 0.2412 0.9210 0.5864 x1  6 O 2.05-2.18
Li 0.4686 0.1740 0.8112 x1  5 O 1.96-2.19
Li 0.4774 0.8390 0.1595 x1  5 O 2.09-2.16
Li 0.4873 0.5064 0.5080 x1  5 O 2.04-2.17
Mn 0.2403 0.2495 0.2538 x1  5 O 1.93-2.13
Mn 0.7368 0.7569 0.7445 x1  6 O 1.93-1.98
Mn 0.7412 0.0846 0.4266 x1  6 O 1.89-2.02
Mn 0.7415 0.4233 0.0748 x1  4 O 1.92-2.03
Co 0.2349 0.5929 0.9072 x1  6 O 1.93-2.04
O 0.0974 0.3167 0.9550 x1  1 Mn 1.92, 1 Co 1.98, 2 Li 2.08-2.11
O 0.1008 0.6342 0.6505 x1  1 Mn 1.94, 1 Co 1.94, 4 Li 2.05-2.14
O 0.1041 0.9806 0.2928 x1  2 Mn 1.93-1.98, 3 Li 2.08-2.11
O 0.3656 0.5346 0.1808 x1  2 Mn 1.99-2.02, 1 Co 2.04, 2 Li 2.11-2.12
O 0.3767 0.8598 0.8686 x1  1 Co 1.93, 1 Mn 1.94, 4 Li 2.09-2.13
O 0.3940 0.2075 0.5324 x1  1 Mn 1.89, 3 Li 1.96-2.08
O 0.5943 0.4878 0.7885 x1  1 Co 1.93, 1 Mn 1.95, 1 Li 2.04
O 0.6193 0.1358 0.1528 x1  3 Mn 2.00-2.03, 2 Li 2.13-2.16
O 0.6408 0.8056 0.4724 x1  2 Mn 1.92-1.96, 2 Li 2.04-2.11
O 0.8446 0.0356 0.6926 x1  2 Mn 1.93, 3 Li 2.07-2.16
O 0.8636 0.7074 0.0103 x1  1 Co 1.97, 2 Mn 1.98-2.00, 2 Li 2.09-2.16
O 0.8778 0.3610 0.3754 x1  2 Mn 1.96-1.98, 2 Li 2.13-2.17

Output
The value obtained for the uncorrected energy is -6.234 eV/atom. The value obtained for the formation energy is -2.07 eV per atom.